1.
{
  "formula": "Er5Ga2As",
  "functional": "PBE-GGA",
  "state": "relaxed",
  "cell": [[4.2259, -7.3082, 0.0000], [4.2259, 7.3082, 0.0000], [0.0000, 0.0000, 6.4287]],
  "species": ["As", "As", "Er", "Er", "Er", "Er", "Er", "Er", "Er", "Er", "Er", "Er", "Ga", "Ga", "Ga", "Ga"],
  "frac_coords": [[0.6079, 0.9999, 0.5000], [0.9999, 0.6079, 0.5000], [0.2409, 0.2409, 0.0000], [0.0035, 0.2443, 0.5000], [0.6657, 0.3316, 0.7540], [0.3316, 0.6657, 0.7540], [0.2443, 0.0035, 0.5000], [0.7593, 0.9995, 0.0000], [0.6657, 0.3316, 0.2460], [0.7562, 0.7562, 0.5000], [0.9995, 0.7593, 0.0000], [0.3316, 0.6657, 0.2460], [0.3988, 0.3988, 0.5000], [0.6011, 0.6011, 0.0000], [0.9979, 0.3961, 0.0000], [0.3961, 0.9979, 0.0000]],
  "formation_enthalpy_0k_ev_per_fu": -5.655,
  "volume_a3_per_atom": 24.8,
  "space_group": "Amm2",
  "total_energy_ev_per_cell": -78.4,
  "m_tot_mub_per_atom": 0.0004
}

=====

2.
{
  "formula": "ErNiAs",
  "functional": "PBE-GGA",
  "state": "relaxed",
  "cell": [[-1.0008, 2.0000, -3.3625], [-1.1947, 1.3808, 3.6019], [3.2223, 2.0732, 0.2740]],
  "species": ["As", "Er", "Ni"],
  "frac_coords": [[0.0000, 0.0000, 0.0000], [0.3333, 0.6667, 0.5000], [0.6667, 0.3333, 0.0000]],
  "formation_enthalpy_0k_ev_per_fu": -3.121,
  "volume_a3_per_atom": 18.1,
  "space_group": "P-6m2",
  "total_energy_ev_per_cell": -18.1
}

=====

3.
{
  "formula": "ErNi4As2",
  "functional": "PBE-GGA",
  "state": "relaxed",
  "cell": [[-6.7310, 1.5131, -2.0907], [-1.2443, -7.0190, -1.0736], [-1.1840, -0.3359, 3.5687]],
  "species": ["Ni", "Ni", "Ni", "Ni", "Ni", "Ni", "Ni", "Ni", "As", "As", "As", "As", "Er", "Er"],
  "frac_coords": [[0.9096, 0.6530, 0.0000], [0.8470, 0.4096, 0.5000], [0.1530, 0.5904, 0.5000], [0.0904, 0.3470, 0.0000], [0.5904, 0.1530, 0.5000], [0.3470, 0.0904, 0.0000], [0.4096, 0.8470, 0.5000], [0.6530, 0.9096, 0.0000], [0.2169, 0.7831, 0.0000], [0.7831, 0.2169, 0.0000], [0.7169, 0.7169, 0.5000], [0.2831, 0.2831, 0.5000], [0.5000, 0.5000, 0.0000], [0.0000, 0.0000, 0.5000]],
  "formation_enthalpy_0k_ev_per_fu": -4.389,
  "volume_a3_per_atom": 14.0,
  "space_group": "P4_2/mnm",
  "total_energy_ev_per_cell": -82.8
}

=====

4.
{
  "formula": "ErNiAs",
  "functional": "PBE-GGA",
  "state": "relaxed",
  "cell": [[1.8808, 0.4254, -3.5427], [-3.7036, 1.5137, 0.5117], [6.0482, 13.1777, 4.7932]],
  "species": ["Ni", "Ni", "Ni", "Ni", "As", "As", "As", "As", "Er", "Er", "Er", "Er"],
  "frac_coords": [[0.3333, 0.6667, 0.3642], [0.6667, 0.3333, 0.8642], [0.3333, 0.6667, 0.1358], [0.6667, 0.3333, 0.6358], [0.6667, 0.3333, 0.3798], [0.6667, 0.3333, 0.1202], [0.3333, 0.6667, 0.6202], [0.3333, 0.6667, 0.8798], [0.0000, 0.0000, 0.0000], [0.0000, 0.0000, 0.2500], [0.0000, 0.0000, 0.5000], [0.0000, 0.0000, 0.7500]],
  "formation_enthalpy_0k_ev_per_fu": -3.146,
  "volume_a3_per_atom": 17.9,
  "space_group": "P6_3/mmc",
  "total_energy_ev_per_cell": -72.6
}